{
  "formula": "Ca14MnSb11",
  "functional": "meta-GGA r2SCAN",
  "state": "optimized geometry",
  "lattice_angstrom": [[11.8344, -7.5472, 8.1754], [4.1968, 14.7404, 5.3811], [-15.2756, -4.9201, 2.5094]],
  "species": ["Ca", "Ca", "Ca", "Ca", "Ca", "Ca", "Ca", "Ca", "Ca", "Ca", "Ca", "Ca", "Ca", "Ca", "Ca", "Ca", "Ca", "Ca", "Ca", "Ca", "Ca", "Ca", "Ca", "Ca", "Ca", "Ca", "Ca", "Ca", "Ca", "Ca", "Ca", "Ca", "Ca", "Ca", "Ca", "Ca", "Ca", "Ca", "Ca", "Ca", "Ca", "Ca", "Ca", "Ca", "Ca", "Ca", "Ca", "Ca", "Ca", "Ca", "Ca", "Ca", "Ca", "Ca", "Ca", "Ca", "Mn", "Mn", "Mn", "Mn", "Sb", "Sb", "Sb", "Sb", "Sb", "Sb", "Sb", "Sb", "Sb", "Sb", "Sb", "Sb", "Sb", "Sb", "Sb", "Sb", "Sb", "Sb", "Sb", "Sb", "Sb", "Sb", "Sb", "Sb", "Sb", "Sb", "Sb", "Sb", "Sb", "Sb", "Sb", "Sb", "Sb", "Sb", "Sb", "Sb", "Sb", "Sb", "Sb", "Sb", "Sb", "Sb", "Sb", "Sb"],
  "fractional_positions": [[0.7461, 0.5272, 0.8670], [0.2461, 0.3791, 0.2189], [0.7772, 0.4961, 0.3670], [0.2772, 0.9102, 0.2811], [0.0039, 0.7228, 0.6330], [0.5039, 0.8709, 0.2811], [0.9728, 0.7539, 0.1330], [0.4728, 0.3398, 0.2189], [0.1602, 0.0272, 0.7811], [0.6602, 0.8791, 0.1330], [0.6291, 0.9961, 0.7189], [0.1291, 0.4102, 0.6330], [0.5898, 0.2228, 0.7189], [0.0898, 0.3709, 0.3670], [0.1209, 0.2539, 0.7811], [0.6209, 0.8398, 0.8670], [0.8946, 0.9981, 0.1493], [0.3946, 0.2453, 0.8965], [0.2481, 0.6446, 0.6493], [0.7481, 0.0988, 0.6035], [0.8554, 0.2519, 0.3507], [0.3554, 0.0047, 0.6035], [0.5019, 0.6054, 0.8507], [0.0019, 0.1512, 0.8965], [0.3488, 0.4981, 0.1035], [0.8488, 0.7453, 0.8507], [0.4953, 0.1446, 0.3965], [0.9953, 0.5988, 0.3507], [0.4012, 0.7519, 0.3965], [0.9012, 0.5047, 0.6493], [0.2547, 0.1054, 0.1035], [0.7547, 0.6512, 0.1493], [0.9804, 0.3750, 0.1054], [0.4804, 0.3750, 0.6054], [0.6250, 0.7304, 0.6054], [0.1250, 0.5196, 0.8946], [0.7696, 0.8750, 0.3946], [0.2696, 0.8750, 0.8946], [0.6250, 0.2304, 0.1054], [0.1250, 0.0196, 0.3946], [0.1228, 0.6028, 0.1605], [0.6228, 0.4622, 0.5200], [0.8528, 0.8728, 0.6605], [0.3528, 0.6922, 0.9800], [0.6272, 0.6472, 0.3395], [0.1272, 0.7878, 0.9800], [0.8972, 0.3772, 0.8395], [0.3972, 0.5578, 0.5200], [0.9422, 0.1028, 0.4800], [0.4422, 0.9622, 0.8395], [0.7122, 0.3728, 0.0200], [0.2122, 0.1922, 0.3395], [0.8078, 0.1472, 0.0200], [0.3078, 0.2878, 0.6605], [0.0378, 0.8772, 0.4800], [0.5378, 0.0578, 0.1605], [0.5000, 0.5000, 0.0000], [0.0000, 0.0000, 0.0000], [0.7500, 0.2500, 0.5000], [0.2500, 0.7500, 0.5000], [0.8854, 0.8854, 0.2708], [0.3854, 0.1146, 0.0000], [0.1354, 0.6354, 0.7708], [0.6354, 0.8646, 0.5000], [0.8646, 0.3646, 0.2292], [0.3646, 0.1354, 0.5000], [0.6146, 0.6146, 0.7292], [0.1146, 0.3854, 0.0000], [0.1739, 0.8181, 0.3651], [0.6739, 0.3088, 0.3557], [0.0681, 0.9239, 0.8651], [0.5681, 0.7031, 0.1443], [0.5761, 0.4319, 0.1349], [0.0761, 0.9412, 0.1443], [0.6819, 0.3261, 0.6349], [0.1819, 0.5469, 0.3557], [0.9531, 0.3181, 0.6443], [0.4531, 0.8088, 0.6349], [0.5588, 0.4239, 0.8557], [0.0588, 0.2031, 0.1349], [0.7969, 0.9319, 0.8557], [0.2969, 0.4412, 0.8651], [0.1912, 0.8261, 0.6443], [0.6912, 0.0469, 0.3651], [0.9584, 0.6044, 0.9058], [0.4584, 0.5525, 0.3540], [0.8544, 0.7084, 0.4058], [0.3544, 0.9485, 0.1460], [0.7916, 0.6456, 0.5942], [0.2916, 0.6975, 0.1460], [0.8956, 0.5416, 0.0942], [0.3956, 0.3015, 0.3540], [0.1985, 0.1044, 0.6460], [0.6985, 0.0525, 0.0942], [0.8025, 0.2084, 0.8540], [0.3025, 0.4485, 0.5942], [0.5515, 0.1456, 0.8540], [0.0515, 0.1975, 0.4058], [0.9475, 0.0416, 0.6460], [0.4475, 0.8015, 0.9058], [0.7500, 0.7500, 0.0000], [0.2500, 0.2500, 0.0000], [0.0000, 0.5000, 0.5000], [0.5000, 0.0000, 0.5000]],
  "density_g_cm3": 4.16,
  "energy_ev_per_atom": -16.405,
  "total_magnetization_mub_per_fu": 4.09,
  "delta_e_f_ev_per_fu": -30.539
}

=====

{
  "formula": "Ca2MoN3",
  "functional": "meta-GGA r2SCAN",
  "state": "optimized geometry",
  "lattice_angstrom": [[0.3390, -2.4523, -5.4846], [2.8556, -1.9716, 4.9161], [-8.5509, -8.0160, 2.4396]],
  "species": ["Ca", "Ca", "Ca", "Ca", "Ca", "Ca", "Ca", "Ca", "Mo", "Mo", "Mo", "Mo", "N", "N", "N", "N", "N", "N", "N", "N", "N", "N", "N", "N"],
  "fractional_positions": [[0.5702, 0.9776, 0.8571], [0.0224, 0.4298, 0.6429], [0.4298, 0.0224, 0.1429], [0.9776, 0.5702, 0.3571], [0.3480, 0.1197, 0.5761], [0.8803, 0.6520, 0.9239], [0.6520, 0.8803, 0.4239], [0.1197, 0.3480, 0.0761], [0.7163, 0.7212, 0.6661], [0.2788, 0.2837, 0.8339], [0.2837, 0.2788, 0.3339], [0.7212, 0.7163, 0.1661], [0.6256, 0.3744, 0.7500], [0.3744, 0.6256, 0.2500], [0.5083, 0.8459, 0.6249], [0.1541, 0.4917, 0.8751], [0.4917, 0.1541, 0.3751], [0.8459, 0.5083, 0.1249], [0.6723, 0.8513, 0.0363], [0.1487, 0.3277, 0.4637], [0.3277, 0.1487, 0.9637], [0.8513, 0.6723, 0.5363], [0.9962, 0.0038, 0.7500], [0.0038, 0.9962, 0.2500]],
  "density_g_cm3": 4.14,
  "energy_ev_per_atom": -12.348,
  "total_magnetization_mub_per_fu": 0.00,
  "delta_e_f_ev_per_fu": -6.551
}

=====

{
  "formula": "CaMoO2",
  "functional": "meta-GGA r2SCAN",
  "state": "optimized geometry",
  "lattice_angstrom": [[-3.0671, 3.0671, 5.8342], [3.0671, -3.0671, 5.8342], [3.0671, 3.0671, -5.8342]],
  "species": ["Ca", "Ca", "Ca", "Ca", "Mo", "Mo", "Mo", "Mo", "O", "O", "O", "O", "O", "O", "O", "O"],
  "fractional_positions": [[0.8750, 0.6250, 0.2500], [0.3750, 0.6250, 0.7500], [0.3750, 0.6250, 0.2500], [0.3750, 0.1250, 0.7500], [0.3750, 0.1250, 0.2500], [0.8750, 0.1250, 0.7500], [0.8750, 0.1250, 0.2500], [0.8750, 0.6250, 0.7500], [0.1736, 0.3953, 0.2217], [0.1736, 0.9519, 0.7783], [0.1453, 0.4236, 0.7217], [0.5764, 0.8547, 0.2783], [0.7019, 0.4236, 0.2783], [0.5764, 0.2981, 0.7217], [0.6047, 0.8264, 0.7783], [0.0481, 0.8264, 0.2217]],
  "density_g_cm3": 5.08,
  "energy_ev_per_atom": -13.233,
  "total_magnetization_mub_per_fu": 2.95,
  "delta_e_f_ev_per_fu": -7.878
}

=====

{
  "formula": "Ca2Mo3O8",
  "functional": "meta-GGA r2SCAN",
  "state": "optimized geometry",
  "lattice_angstrom": [[2.8989, 5.8163, -0.0496], [-2.8989, 5.8163, -0.0496], [0.0000, 1.3194, 4.7376]],
  "species": ["Ca", "Ca", "Mo", "Mo", "Mo", "O", "O", "O", "O", "O", "O", "O", "O"],
  "fractional_positions": [[0.7273, 0.7273, 0.3270], [0.2727, 0.2727, 0.6730], [0.0000, 0.0000, 0.5000], [0.7714, 0.2286, 0.0000], [0.2286, 0.7714, 0.0000], [0.4101, 0.4101, 0.9128], [0.5899, 0.5899, 0.0872], [0.8768, 0.8768, 0.9032], [0.1232, 0.1232, 0.0968], [0.3417, 0.8759, 0.6083], [0.8759, 0.3417, 0.6083], [0.1241, 0.6583, 0.3917], [0.6583, 0.1241, 0.3917]],
  "density_g_cm3": 5.14,
  "energy_ev_per_atom": -13.253,
  "total_magnetization_mub_per_fu": 0.09,
  "delta_e_f_ev_per_fu": -32.213
}

=====

{
  "formula": "Ca3MoO6",
  "functional": "meta-GGA r2SCAN",
  "state": "optimized geometry",
  "lattice_angstrom": [[0.0000, 4.0835, 4.0835], [4.0835, 0.0000, 4.0835], [4.0835, 4.0835, 0.0000]],
  "species": ["Ca", "Ca", "Ca", "Mo", "O", "O", "O", "O", "O", "O"],
  "fractional_positions": [[0.0000, 0.0000, 0.0000], [0.2500, 0.2500, 0.2500], [0.7500, 0.7500, 0.7500], [0.5000, 0.5000, 0.5000], [0.7322, 0.2678, 0.2678], [0.2678, 0.7322, 0.7322], [0.2678, 0.7322, 0.2678], [0.7322, 0.2678, 0.7322], [0.2678, 0.2678, 0.7322], [0.7322, 0.7322, 0.2678]],
  "density_g_cm3": 3.81,
  "energy_ev_per_atom": -11.029,
  "total_magnetization_mub_per_fu": 0.00,
  "delta_e_f_ev_per_fu": -27.264
}

=====

{
  "formula": "CaMoO4",
  "functional": "meta-GGA r2SCAN",
  "state": "optimized geometry",
  "lattice_angstrom": [[4.8306, -0.0010, -2.0058], [-0.8327, 4.7575, -2.0045], [-0.0149, -0.0175, 6.7861]],
  "species": ["Ca", "Ca", "Mo", "Mo", "O", "O", "O", "O", "O", "O", "O", "O"],
  "fractional_positions": [[0.3750, 0.1251, 0.7500], [0.6250, 0.8749, 0.2500], [0.8750, 0.6252, 0.7501], [0.1250, 0.3748, 0.2499], [0.2017, 0.5595, 0.9199], [0.3604, 0.7016, 0.4199], [0.0595, 0.2179, 0.4197], [0.7180, 0.8605, 0.9199], [0.2820, 0.1395, 0.0801], [0.9405, 0.7821, 0.5803], [0.7983, 0.4405, 0.0801], [0.6396, 0.2984, 0.5801]],
  "density_g_cm3": 4.27,
  "energy_ev_per_atom": -12.278,
  "total_magnetization_mub_per_fu": 0.00,
  "delta_e_f_ev_per_fu": -16.665
}